No. 1
BaSrYbReO6 (r²SCAN, relaxed); SG = F-43m; size of the total moment = 2.0 μB/cell; E_tot = -0.71891 hartree per atom
1.0
-4.148 -1.202 3.942
-1.239 3.864 4.210
-5.067 2.915 -0.106
Ba Sr Yb Re O
1 1 1 1 6
direct
0.750 0.750 0.750
0.250 0.250 0.250
0.500 0.500 0.500
0.000 0.000 0.000
0.762 0.762 0.238
0.238 0.762 0.238
0.762 0.238 0.238
0.238 0.238 0.762
0.762 0.238 0.762
0.238 0.762 0.762

---

No. 2
Er3Ni2 (r²SCAN, relaxed); SG = R-3; size of the total moment = 0.0 μB/cell; E_tot = -0.93709 hartree per atom
1.0
6.782 -0.007 2.119
1.555 6.601 2.120
-0.009 -0.009 7.105
Er Ni
9 6
direct
0.500 0.500 0.500
0.293 0.293 0.293
0.707 0.707 0.707
0.330 0.836 0.113
0.113 0.330 0.836
0.836 0.113 0.330
0.670 0.164 0.887
0.887 0.670 0.164
0.164 0.887 0.670
0.644 0.461 0.086
0.086 0.644 0.461
0.461 0.086 0.644
0.356 0.539 0.914
0.914 0.356 0.539
0.539 0.914 0.356

---

No. 3
CaPd (r²SCAN, relaxed); SG = Pm-3m; size of the total moment = 0.0 μB/cell; E_tot = -0.57494 hartree per atom
1.0
-2.765 0.555 2.083
-0.896 -3.377 -0.291
1.960 -0.762 2.805
Ca Pd
1 1
direct
0.000 0.000 0.000
0.500 0.500 0.500

---

No. 4
HoCdHg2 (r²SCAN, relaxed); SG = Fm-3m; size of the total moment = 0.0 μB/cell; E_tot = -1.40910 hartree per atom
1.0
0.000 3.559 3.559
3.559 0.000 3.559
3.559 3.559 0.000
Ho Cd Hg
1 1 2
direct
0.750 0.750 0.750
0.250 0.250 0.250
0.000 0.000 0.000
0.500 0.500 0.500

---

No. 5
HfTi3 (r²SCAN, relaxed); SG = P6_3/mmc; size of the total moment = 0.0 μB/cell; E_tot = -0.77036 hartree per atom
1.0
1.171 5.195 -2.816
-2.147 0.042 5.628
4.414 -0.082 1.684
Hf Ti
2 6
direct
0.333 0.667 0.750
0.667 0.333 0.250
0.161 0.323 0.250
0.677 0.839 0.250
0.161 0.839 0.250
0.839 0.677 0.750
0.323 0.161 0.750
0.839 0.161 0.750

---

No. 6
TbPO4 (r²SCAN, relaxed); SG = I4_1/amd; size of the total moment = 0.0 μB/cell; E_tot = -0.51557 hartree per atom
1.0
5.519 0.001 -1.589
-3.126 4.548 -1.589
-0.001 -0.001 5.743
Tb P O
2 2 8
direct
0.125 0.875 0.250
0.875 0.125 0.750
0.375 0.625 0.750
0.625 0.375 0.250
0.783 0.359 0.076
0.708 0.783 0.924
0.359 0.783 0.576
0.783 0.708 0.424
0.292 0.217 0.076
0.217 0.641 0.924
0.217 0.292 0.576
0.641 0.217 0.424